Computed, not measured: crystalline Re2PCl13 at its relaxed geometry at the PBE level of DFT.

Cell: 11.1719 9.1854 9.7315 Å, 81.67 90.00 90.00°
Element x y z (fractional)
Cl1 0.1071 0.1917 0.4215
Cl2 0.6024 0.1906 0.7384
Cl3 0.7500 0.8117 0.2926
Cl4 0.7500 0.5229 0.5196
Cl5 0.7500 0.4378 0.8943
Cl6 0.1024 0.8094 0.2616
Cl7 0.8929 0.8083 0.5785
Cl8 0.2500 0.1883 0.7074
Cl9 0.2500 0.4771 0.4804
Cl10 0.3976 0.8094 0.2616
Cl11 0.3988 0.5206 0.8178
Cl12 0.4064 0.8492 0.9173
Cl13 0.1012 0.5206 0.8178
Cl14 0.3929 0.1917 0.4215
Cl15 0.2500 0.0844 0.0721
Cl16 0.8976 0.1906 0.7384
Cl17 0.7500 0.9156 0.9279
Cl18 0.6012 0.4794 0.1822
Cl19 0.2500 0.5622 0.1057
Cl20 0.5936 0.1508 0.0827
Cl21 0.8988 0.4794 0.1822
Cl22 0.0936 0.8492 0.9173
Cl23 0.6071 0.8083 0.5785
Cl24 0.9064 0.1508 0.0827
Cl25 0.7500 0.2027 0.3635
Cl26 0.2500 0.7973 0.6365
Re1 0.2500 0.8295 0.0922
Re2 0.7500 0.1705 0.9078
Re3 0.2500 0.6802 0.8662
Re4 0.7500 0.3198 0.1338
P1 0.7500 0.7381 0.4910
P2 0.2500 0.2619 0.5090

Output
Formation enthalpy at 0 K   -1.139 eV per atom

---

Computed, not measured: crystalline TaP2S2Cl5 at its relaxed geometry at the PBE level of DFT.

Cell: 13.8007 6.8392 27.7551 Å, 79.69 90.00 90.00°
Element x y z (fractional)
S1 0.5529 0.5462 0.0747
S2 0.5712 0.8524 0.8818
S3 0.9471 0.5462 0.5747
S4 0.7826 0.3693 0.6674
S5 0.2826 0.6307 0.8326
S6 0.4756 0.4491 0.1939
S7 0.4288 0.1476 0.1182
S8 0.5244 0.5509 0.8061
S9 0.0712 0.1476 0.6182
S10 0.7174 0.3693 0.1674
S11 0.0244 0.4491 0.6939
S12 0.4471 0.4538 0.9253
S13 0.0529 0.4538 0.4253
S14 0.9288 0.8524 0.3818
S15 0.9756 0.5509 0.3061
S16 0.2174 0.6307 0.3326
P1 0.0895 0.7590 0.2970
P2 0.9318 0.0687 0.6410
P3 0.3433 0.6752 0.9004
P4 0.8433 0.3248 0.5996
P5 0.5895 0.2410 0.2030
P6 0.1567 0.6752 0.4004
P7 0.0682 0.9313 0.3590
P8 0.9105 0.2410 0.7030
P9 0.5682 0.0687 0.1410
P10 0.5707 0.5390 0.8801
P11 0.4105 0.7590 0.7970
P12 0.4318 0.9313 0.8590
P13 0.4293 0.4610 0.1199
P14 0.0707 0.4610 0.6199
P15 0.6567 0.3248 0.0996
P16 0.9293 0.5390 0.3801
Cl1 0.7444 0.2446 0.2973
Cl2 0.1131 0.8236 0.0317
Cl3 0.8954 0.4101 0.0722
Cl4 0.1935 0.0397 0.9150
Cl5 0.7556 0.2446 0.7973
Cl6 0.7640 0.5663 0.4872
Cl7 0.3065 0.0397 0.4150
Cl8 0.6405 0.1211 0.0031
Cl9 0.5144 0.2684 0.3215
Cl10 0.2556 0.7554 0.7027
Cl11 0.8869 0.1764 0.9683
Cl12 0.3954 0.5899 0.4278
Cl13 0.5255 0.1200 0.7292
Cl14 0.2640 0.4337 0.0128
Cl15 0.4745 0.8800 0.2708
Cl16 0.1046 0.5899 0.9278
Cl17 0.6353 0.8258 0.3715
Cl18 0.2920 0.1578 0.7486
Cl19 0.6935 0.9603 0.5850
Cl20 0.8065 0.9603 0.0850
Cl21 0.3869 0.8236 0.5317
Cl22 0.7920 0.8422 0.7514
Cl23 0.1405 0.8789 0.4969
Cl24 0.1353 0.1742 0.1285
Cl25 0.4856 0.7316 0.6785
Cl26 0.8595 0.1211 0.5031
Cl27 0.8647 0.8258 0.8715
Cl28 0.9856 0.2684 0.8215
Cl29 0.3595 0.8789 0.9969
Cl30 0.3647 0.1742 0.6285
Cl31 0.2080 0.1578 0.2486
Cl32 0.7080 0.8422 0.2514
Cl33 0.6131 0.1764 0.4683
Cl34 0.0255 0.8800 0.7708
Cl35 0.2360 0.4337 0.5128
Cl36 0.2444 0.7554 0.2027
Cl37 0.9745 0.1200 0.2292
Cl38 0.7360 0.5663 0.9872
Cl39 0.0144 0.7316 0.1785
Cl40 0.6046 0.4101 0.5722
Ta1 0.3868 0.9733 0.7026
Ta2 0.2131 0.7477 0.9725
Ta3 0.2869 0.7477 0.4725
Ta4 0.7869 0.2523 0.0275
Ta5 0.6132 0.0267 0.2974
Ta6 0.7131 0.2523 0.5275
Ta7 0.1132 0.9733 0.2026
Ta8 0.8868 0.0267 0.7974

Output
Formation enthalpy at 0 K   -1.291 eV per atom

---

Computed, not measured: crystalline TiP2S8Cl2 at its relaxed geometry at the PBE level of DFT.

Cell: 13.0411 7.1784 17.5631 Å, 66.59 90.00 90.00°
Element x y z (fractional)
S1 0.8407 0.7998 0.3466
S2 0.5957 0.6489 0.0534
S3 0.5839 0.2668 0.7108
S4 0.6439 0.5578 0.2587
S5 0.8383 0.1631 0.4121
S6 0.4043 0.3511 0.9466
S7 0.4341 0.9730 0.8694
S8 0.9161 0.2668 0.2108
S9 0.2881 0.1254 0.4032
S10 0.0839 0.7332 0.7892
S11 0.5659 0.0270 0.1306
S12 0.8561 0.5578 0.7587
S13 0.3561 0.4422 0.7413
S14 0.9341 0.0270 0.6306
S15 0.4161 0.7332 0.2892
S16 0.0957 0.3511 0.4466
S17 0.6617 0.1631 0.9121
S18 0.9043 0.6489 0.5534
S19 0.1593 0.2002 0.6534
S20 0.1617 0.8369 0.5879
S21 0.5118 0.4982 0.7315
S22 0.6593 0.7998 0.8466
S23 0.3407 0.2002 0.1534
S24 0.4882 0.5018 0.2685
S25 0.7881 0.8746 0.0968
S26 0.1439 0.4422 0.2413
S27 0.7119 0.8746 0.5968
S28 0.9882 0.4982 0.2315
S29 0.2119 0.1254 0.9032
S30 0.0659 0.9730 0.3694
S31 0.3383 0.8369 0.0879
S32 0.0118 0.5018 0.7685
P1 0.4098 0.9412 0.1629
P2 0.6458 0.7651 0.1321
P3 0.5902 0.0588 0.8371
P4 0.3542 0.2349 0.8679
P5 0.8542 0.7651 0.6321
P6 0.1458 0.2349 0.3679
P7 0.9098 0.0588 0.3371
P8 0.0902 0.9412 0.6629
Ti1 0.2557 0.1812 0.5332
Ti2 0.2443 0.1812 0.0332
Ti3 0.7557 0.8188 0.9668
Ti4 0.7443 0.8188 0.4668
Cl1 0.5959 0.9849 0.4231
Cl2 0.6821 0.5124 0.4837
Cl3 0.3179 0.4876 0.5163
Cl4 0.0959 0.0151 0.0769
Cl5 0.4041 0.0151 0.5769
Cl6 0.9041 0.9849 0.9231
Cl7 0.1821 0.4876 0.0163
Cl8 0.8179 0.5124 0.9837

Output
Formation enthalpy at 0 K   -0.960 eV per atom

---

Computed, not measured: crystalline PSeCl9 at its relaxed geometry at the PBE level of DFT.

Cell: 12.2898 12.2898 12.2898 Å, 120.24 119.90 89.88°
Element x y z (fractional)
P1 0.7383 0.0179 0.7369
P2 0.2617 0.9987 0.2796
P3 0.7810 0.5179 0.2796
P4 0.2190 0.4987 0.7369
Cl1 0.0772 0.9041 0.7607
Cl2 0.9393 0.6379 0.0772
Cl3 0.6205 0.1576 0.2781
Cl4 0.8319 0.9914 0.3232
Cl5 0.9008 0.1732 0.9109
Cl6 0.7608 0.8652 0.7468
Cl7 0.3185 0.2252 0.0437
Cl8 0.2392 0.9859 0.1043
Cl9 0.0992 0.0102 0.2724
Cl10 0.0607 0.1379 0.6987
Cl11 0.4858 0.6122 0.3203
Cl12 0.5858 0.0585 0.7430
Cl13 0.7059 0.9781 0.5443
Cl14 0.6815 0.7252 0.9067
Cl15 0.2377 0.5102 0.9109
Cl16 0.9338 0.4781 0.2722
Cl17 0.6434 0.4041 0.8269
Cl18 0.1845 0.6571 0.7430
Cl19 0.1400 0.8753 0.5154
Cl20 0.4142 0.1571 0.4726
Cl21 0.0662 0.3384 0.5443
Cl22 0.5142 0.8346 0.1265
Cl23 0.2081 0.3346 0.3203
Cl24 0.5659 0.4433 0.5092
Cl25 0.6184 0.3652 0.1043
Cl26 0.2941 0.8384 0.2722
Cl27 0.3566 0.1835 0.7607
Cl28 0.3795 0.6576 0.5370
Cl29 0.8600 0.3753 0.7353
Cl30 0.7623 0.6732 0.2724
Cl31 0.4341 0.9433 0.8775
Cl32 0.8155 0.5585 0.4726
Cl33 0.9228 0.6835 0.8269
Cl34 0.1681 0.4914 0.1595
Cl35 0.7919 0.1122 0.1265
Cl36 0.3816 0.4859 0.7468
Se1 0.7794 0.5498 0.8292
Se2 0.6442 0.9793 0.1235
Se3 0.2206 0.0498 0.7704
Se4 0.3558 0.4793 0.3350

Output
Formation enthalpy at 0 K   -0.983 eV per atom

---

Computed, not measured: crystalline SnPCl9 at its relaxed geometry at the PBE level of DFT.

Cell: 10.5777 10.5777 6.7439 Å, 90.00 90.00 107.35°
Element x y z (fractional)
P1 0.7500 0.7500 0.5000
P2 0.2500 0.2500 0.5000
Cl1 0.0834 0.5834 0.2743
Cl2 0.0939 0.2261 0.3313
Cl3 0.8947 0.1053 0.8966
Cl4 0.4166 0.9166 0.2743
Cl5 0.2739 0.4061 0.6687
Cl6 0.4061 0.2739 0.3313
Cl7 0.3947 0.6053 0.1034
Cl8 0.7500 0.2500 0.2461
Cl9 0.2500 0.7500 0.7539
Cl10 0.2261 0.0939 0.6687
Cl11 0.5834 0.0834 0.7257
Cl12 0.9061 0.7739 0.6687
Cl13 0.9166 0.4166 0.7257
Cl14 0.7261 0.5939 0.3313
Cl15 0.1053 0.8947 0.1034
Cl16 0.5939 0.7261 0.6687
Cl17 0.7739 0.9061 0.3313
Cl18 0.6053 0.3947 0.8966
Sn1 0.7500 0.2500 0.8926
Sn2 0.2500 0.7500 0.1074

Output
Formation enthalpy at 0 K   -1.277 eV per atom
Energy above the most stable polymorph in this dataset   0 meV/atom

---

Computed, not measured: crystalline SnPCl9 at its relaxed geometry at the PBE level of DFT.

Cell: 7.4163 9.3595 10.0020 Å, 101.10 96.58 95.16°
Element x y z (fractional)
Cl1 0.9321 0.7180 0.7560
Cl2 0.3760 0.5745 0.2177
Cl3 0.9470 0.2060 0.5926
Cl4 0.5197 0.2290 0.1281
Cl5 0.1547 0.3872 0.8816
Cl6 0.1440 0.8845 0.1289
Cl7 0.5793 0.8378 0.5579
Cl8 0.4803 0.7710 0.8719
Cl9 0.7080 0.4814 0.4516
Cl10 0.2408 0.0617 0.7687
Cl11 0.7592 0.9383 0.2313
Cl12 0.6240 0.4255 0.7823
Cl13 0.8453 0.6128 0.1184
Cl14 0.8560 0.1155 0.8711
Cl15 0.0679 0.2820 0.2440
Cl16 0.2920 0.5186 0.5484
Cl17 0.4207 0.1622 0.4421
Cl18 0.0530 0.7940 0.4074
Sn1 0.6107 0.6390 0.6786
Sn2 0.3893 0.3610 0.3214
P1 0.0496 0.1936 0.7782
P2 0.9504 0.8064 0.2218

Output
Formation enthalpy at 0 K   -1.272 eV per atom
Energy above the most stable polymorph in this dataset   5 meV/atom